First-principles (r2SCAN) data for a geometry-optimized Er5CoBi2 structure, as listed in the Materials Project.

Unit cell a=12.272 b=8.716 c=7.964 alpha=90.00 beta=90.00 gamma=90.00
Space group Pnma (No. 62)
Asymmetric unit:
Er 0.002 0.250 0.055 x4
Er 0.063 0.537 0.327 x8
Er 0.187 0.250 0.616 x4
Er 0.198 0.750 0.654 x4
Co 0.008 0.250 0.435 x4
Bi 0.173 0.009 0.932 x8

Values from the calculation:
For the total energy, the calculation gives -1218.58 eV/cell. The calculation puts the mass density at 10.24 g/cm³.

***

First-principles (r2SCAN) data for a geometry-optimized Er12Co5Bi structure, as listed in the Materials Project.

Unit cell a=9.284 b=9.365 c=9.776 alpha=90.00 beta=90.00 gamma=90.00
Space group Immm (No. 71)
Asymmetric unit:
Er 0.000 0.198 0.210 x8
Er 0.192 0.500 0.190 x8
Er 0.214 0.318 0.500 x8
Co 0.000 0.000 0.000 x2
Co 0.000 0.380 0.000 x4
Co 0.000 0.500 0.390 x4
Bi 0.000 0.000 0.500 x2

Values from the calculation:
For the total energy, the calculation gives -1073.10 eV/cell. The calculation puts the mass density at 9.81 g/cm³.

***

First-principles (r2SCAN) data for a geometry-optimized Hf6CoBi2 structure, as listed in the Materials Project.

Unit cell a=7.8026 b=7.8026 c=3.6142 alpha=90.00 beta=90.00 gamma=120.00
Space group P-62m (No. 189)
Asymmetric unit:
Hf 0.0000 0.2334 0.0000 x3
Hf 0.0000 0.6114 0.5000 x3
Co 0.0000 0.0000 0.5000 x1
Bi 0.3333 0.6667 0.0000 x2

Values from the calculation:
For the total energy, the calculation gives -403.48 eV/cell. The calculation puts the mass density at 13.49 g/cm³.

***

First-principles (r2SCAN) data for a geometry-optimized Ho5CoBi2 structure, as listed in the Materials Project.

Unit cell a=12.315 b=8.763 c=7.999 alpha=90.00 beta=90.00 gamma=90.00
Space group Pnma (No. 62)
Asymmetric unit:
Ho 0.002 0.250 0.054 x4
Ho 0.064 0.537 0.326 x8
Ho 0.187 0.250 0.616 x4
Ho 0.199 0.750 0.653 x4
Co 0.008 0.250 0.436 x4
Bi 0.173 0.009 0.931 x8

Values from the calculation:
For the total energy, the calculation gives -1198.21 eV/cell. The calculation puts the mass density at 10.01 g/cm³.

***

First-principles (r2SCAN) data for a geometry-optimized Ho12Co5Bi structure, as listed in the Materials Project.

Unit cell a=9.341 b=9.429 c=9.832 alpha=90.00 beta=90.00 gamma=90.00
Space group Immm (No. 71)
Asymmetric unit:
Ho 0.000 0.198 0.209 x8
Ho 0.192 0.500 0.190 x8
Ho 0.213 0.318 0.500 x8
Co 0.000 0.000 0.000 x2
Co 0.000 0.381 0.000 x4
Co 0.000 0.500 0.390 x4
Bi 0.000 0.000 0.500 x2

Values from the calculation:
For the total energy, the calculation gives -1047.90 eV/cell. The calculation puts the mass density at 9.52 g/cm³.

***

First-principles (r2SCAN) data for a geometry-optimized CoBiO3 structure, as listed in the Materials Project.

Unit cell a=3.724 b=3.724 c=4.021 alpha=90.00 beta=90.00 gamma=90.00
Space group P4mm (No. 99)
Asymmetric unit:
Co 0.000 0.000 0.000 x1
Bi 0.500 0.500 0.428 x1
O 0.000 0.000 0.540 x1
O 0.000 0.500 0.073 x2

Values from the calculation:
For the total energy, the calculation gives -95.59 eV/cell. The calculation puts the mass density at 9.41 g/cm³.

***

Number 1: spin magnetization 1.972 μB per cell, energy of formation from the pure elements -597 meV/atom. Number 2: spin magnetization 2.516 μB per cell, energy of formation from the pure elements -265 meV/atom. Number 3: spin magnetization 0.000 μB per cell, energy of formation from the pure elements -259 meV/atom. Number 4: spin magnetization 1.712 μB per cell, energy of formation from the pure elements -613 meV/atom. Number 5: spin magnetization 2.506 μB per cell, energy of formation from the pure elements -261 meV/atom. Number 6: spin magnetization 0.000 μB per cell, energy of formation from the pure elements -1188 meV/atom.